# MgSi5O10 GGA-PBE optimized geometry
data_MgSi5O10
_chemical_formula_sum 'Mg1 Si5 O10'
_symmetry_space_group_name_H-M 'P -4 m 2'
_symmetry_Int_Tables_number 115
_symmetry_space_group_name_Hall 'P -4 -2'
_cell_length_a 6.9591
_cell_length_b 6.9591
_cell_length_c 6.4728
_cell_angle_alpha 90.00
_cell_angle_beta 90.00
_cell_angle_gamma 90.00
loop_
_atom_site_label
_atom_site_fract_x
_atom_site_fract_y
_atom_site_fract_z
Mg1 0.0000 0.0000 0.0000
Si1 0.2306 0.5000 0.6192
Si2 0.5000 0.5000 0.0000
O1 0.0000 0.5000 0.6198
O2 0.3079 0.3079 0.5000
O3 0.3076 0.5000 0.8569
# total energy: -7.41 eV/atom